A plane-wave DFT calculation with PBE was carried out for a relaxed DyAl3 crystal.

```
data_DyAl3
_space_group_name_H-M_alt 'P 1'
_space_group_IT_number 1
_cell_length_a 12.4542
_cell_length_b 12.4542
_cell_length_c 12.4542
_cell_angle_alpha 28.40
_cell_angle_beta 28.40
_cell_angle_gamma 28.40
loop_
_space_group_symop_operation_xyz
'x,y,z'
loop_
_atom_site_label
_atom_site_fract_x
_atom_site_fract_y
_atom_site_fract_z
Al1 0.5000 0.0000 0.5000
Al2 0.5000 0.5000 0.0000
Dy1 0.5999 0.5999 0.5999
Dy2 0.8692 0.8692 0.8692
Al3 0.8814 0.8814 0.4361
Al4 0.1294 0.6359 0.6359
Al5 0.8706 0.3641 0.3641
Al6 0.5639 0.1186 0.1186
Al7 0.3641 0.3641 0.8706
Al8 0.6359 0.6359 0.1294
Al9 0.8814 0.4361 0.8814
Al10 0.0000 0.5000 0.5000
Al11 0.4361 0.8814 0.8814
Al12 0.1186 0.5639 0.1186
Dy3 0.1308 0.1308 0.1308
Dy4 0.0000 0.0000 0.0000
Dy5 0.4001 0.4001 0.4001
Al13 0.3641 0.8706 0.3641
Al14 0.6359 0.1294 0.6359
Al15 0.1186 0.1186 0.5639
```

A plane-wave DFT calculation with PBE was carried out for a relaxed Dy2Al17 crystal.

```
data_Dy2Al17
_space_group_name_H-M_alt 'P 1'
_space_group_IT_number 1
_cell_length_a 9.4727
_cell_length_b 9.4727
_cell_length_c 8.8764
_cell_angle_alpha 90.00
_cell_angle_beta 90.00
_cell_angle_gamma 120.00
loop_
_space_group_symop_operation_xyz
'x,y,z'
loop_
_atom_site_label
_atom_site_fract_x
_atom_site_fract_y
_atom_site_fract_z
Dy1 0.3333 0.6667 0.7500
Al1 0.6366 0.9636 0.2500
Al2 0.6667 0.3333 0.8992
Dy2 0.0000 0.0000 0.7500
Al3 0.3260 0.1630 0.4742
Al4 0.8370 0.1630 0.0258
Al5 0.0364 0.3634 0.2500
Dy3 0.6667 0.3333 0.2500
Al6 0.8370 0.1630 0.4742
Al7 0.0364 0.6730 0.2500
Al8 0.1630 0.3260 0.5258
Al9 0.5000 0.5000 0.5000
Al10 0.1630 0.3260 0.9742
Al11 0.5000 0.5000 0.0000
Al12 0.3333 0.6667 0.1008
Al13 0.6366 0.6730 0.2500
Al14 0.9636 0.6366 0.7500
Al15 0.9636 0.3270 0.7500
Al16 0.3270 0.9636 0.2500
Al17 0.3333 0.6667 0.3992
Al18 0.3270 0.3634 0.2500
Al19 0.0000 0.5000 0.5000
Al20 0.3634 0.0364 0.7500
Al21 0.0000 0.5000 0.0000
Al22 0.8370 0.6740 0.4742
Al23 0.5000 0.0000 0.0000
Al24 0.8370 0.6740 0.0258
Al25 0.6730 0.6366 0.7500
Al26 0.6730 0.0364 0.7500
Al27 0.6740 0.8370 0.5258
Al28 0.1630 0.8370 0.5258
Al29 0.1630 0.8370 0.9742
Al30 0.5000 0.0000 0.5000
Dy4 0.0000 0.0000 0.2500
Al31 0.6740 0.8370 0.9742
Al32 0.3260 0.1630 0.0258
Al33 0.3634 0.3270 0.7500
Al34 0.6667 0.3333 0.6008
```

A plane-wave DFT calculation with PBE was carried out for a relaxed DyAl3 crystal.

```
data_DyAl3
_space_group_name_H-M_alt 'P 1'
_space_group_IT_number 1
_cell_length_a 5.4652
_cell_length_b 5.4652
_cell_length_c 5.4652
_cell_angle_alpha 134.96
_cell_angle_beta 134.96
_cell_angle_gamma 65.60
loop_
_space_group_symop_operation_xyz
'x,y,z'
loop_
_atom_site_label
_atom_site_fract_x
_atom_site_fract_y
_atom_site_fract_z
Al1 0.5000 0.5000 0.0000
Al2 0.2500 0.7500 0.5000
Al3 0.7500 0.2500 0.5000
Dy1 0.0000 0.0000 0.0000
```

A plane-wave DFT calculation with PBE was carried out for a relaxed DyAl3 crystal.

```
data_DyAl3
_space_group_name_H-M_alt 'P 1'
_space_group_IT_number 1
_cell_length_a 6.1237
_cell_length_b 6.1237
_cell_length_c 9.5505
_cell_angle_alpha 90.00
_cell_angle_beta 90.00
_cell_angle_gamma 120.00
loop_
_space_group_symop_operation_xyz
'x,y,z'
loop_
_atom_site_label
_atom_site_fract_x
_atom_site_fract_y
_atom_site_fract_z
Dy1 0.6667 0.3333 0.7500
Al1 0.6331 0.8166 0.7500
Al2 0.5000 0.0000 0.0000
Al3 0.0000 0.5000 0.0000
Dy2 0.0000 0.0000 0.5000
Al4 0.5000 0.5000 0.5000
Al5 0.1834 0.3669 0.7500
Dy3 0.3333 0.6667 0.2500
Dy4 0.0000 0.0000 0.0000
Al6 0.8166 0.1834 0.2500
Al7 0.1834 0.8166 0.7500
Al8 0.3669 0.1834 0.2500
Al9 0.8166 0.6331 0.2500
Al10 0.0000 0.5000 0.5000
Al11 0.5000 0.5000 0.0000
Al12 0.5000 0.0000 0.5000
```

A plane-wave DFT calculation with PBE was carried out for a relaxed Dy4Al crystal.

```
data_Dy4Al
_space_group_name_H-M_alt 'P 1'
_space_group_IT_number 1
_cell_length_a 7.8768
_cell_length_b 7.8768
_cell_length_c 7.8768
_cell_angle_alpha 60.00
_cell_angle_beta 60.00
_cell_angle_gamma 60.00
loop_
_space_group_symop_operation_xyz
'x,y,z'
loop_
_atom_site_label
_atom_site_fract_x
_atom_site_fract_y
_atom_site_fract_z
Dy1 0.6066 0.6066 0.1802
Al1 0.7500 0.7500 0.7500
Dy2 0.1434 0.1434 0.1434
Dy3 0.6066 0.6066 0.6066
Dy4 0.1434 0.5698 0.1434
Al2 0.0000 0.0000 0.0000
Dy5 0.6066 0.1802 0.6066
Dy6 0.5698 0.1434 0.1434
Dy7 0.1434 0.1434 0.5698
Dy8 0.1802 0.6066 0.6066
```

A plane-wave DFT calculation with PBE was carried out for a relaxed DyAl3 crystal.

```
data_DyAl3
_space_group_name_H-M_alt 'P 1'
_space_group_IT_number 1
_cell_length_a 4.2553
_cell_length_b 4.2553
_cell_length_c 4.2553
_cell_angle_alpha 90.00
_cell_angle_beta 90.00
_cell_angle_gamma 90.00
loop_
_space_group_symop_operation_xyz
'x,y,z'
loop_
_atom_site_label
_atom_site_fract_x
_atom_site_fract_y
_atom_site_fract_z
Dy1 0.0000 0.0000 0.0000
Al1 0.5000 0.5000 0.0000
Al2 0.5000 0.0000 0.5000
Al3 0.0000 0.5000 0.5000
```

A plane-wave DFT calculation with PBE was carried out for a relaxed DyAl3 crystal.

```
data_DyAl3
_space_group_name_H-M_alt 'P 1'
_space_group_IT_number 1
_cell_length_a 6.1734
_cell_length_b 6.1734
_cell_length_c 7.9153
_cell_angle_alpha 67.05
_cell_angle_beta 67.05
_cell_angle_gamma 60.00
loop_
_space_group_symop_operation_xyz
'x,y,z'
loop_
_atom_site_label
_atom_site_fract_x
_atom_site_fract_y
_atom_site_fract_z
Dy1 0.0000 0.0000 0.0000
Al1 0.2623 0.7032 0.3313
Al2 0.7377 0.2968 0.6687
Dy2 0.2184 0.2184 0.3448
Al3 0.0000 0.5000 0.0000
Al4 0.5000 0.5000 0.0000
Al5 0.7032 0.2623 0.3313
Al6 0.7032 0.7032 0.3313
Dy3 0.7816 0.7816 0.6552
Al7 0.2968 0.2968 0.6687
Al8 0.2968 0.7377 0.6687
Al9 0.5000 0.0000 0.0000
```

A plane-wave DFT calculation with PBE was carried out for a relaxed DyAl2 crystal.

```
data_DyAl2
_space_group_name_H-M_alt 'P 1'
_space_group_IT_number 1
_cell_length_a 5.5621
_cell_length_b 5.5621
_cell_length_c 5.5621
_cell_angle_alpha 60.00
_cell_angle_beta 60.00
_cell_angle_gamma 60.00
loop_
_space_group_symop_operation_xyz
'x,y,z'
loop_
_atom_site_label
_atom_site_fract_x
_atom_site_fract_y
_atom_site_fract_z
Al1 0.8750 0.3750 0.3750
Al2 0.3750 0.8750 0.3750
Dy1 0.7500 0.7500 0.7500
Dy2 0.0000 0.0000 0.0000
Al3 0.3750 0.3750 0.3750
Al4 0.3750 0.3750 0.8750
```

A plane-wave DFT calculation with PBE was carried out for a relaxed DyErAl4 crystal.

```
data_DyErAl4
_space_group_name_H-M_alt 'P 1'
_space_group_IT_number 1
_cell_length_a 5.5444
_cell_length_b 5.5444
_cell_length_c 5.5444
_cell_angle_alpha 60.00
_cell_angle_beta 60.00
_cell_angle_gamma 60.00
loop_
_space_group_symop_operation_xyz
'x,y,z'
loop_
_atom_site_label
_atom_site_fract_x
_atom_site_fract_y
_atom_site_fract_z
Er1 0.0000 0.0000 0.0000
Al1 0.6250 0.1250 0.6250
Al2 0.6250 0.6250 0.1250
Al3 0.6250 0.6250 0.6250
Al4 0.1250 0.6250 0.6250
Dy1 0.2500 0.2500 0.2500
```

A plane-wave DFT calculation with PBE was carried out for a relaxed DyErAl2 crystal.

```
data_DyErAl2
_space_group_name_H-M_alt 'P 1'
_space_group_IT_number 1
_cell_length_a 5.0599
_cell_length_b 5.0599
_cell_length_c 5.0599
_cell_angle_alpha 60.00
_cell_angle_beta 60.00
_cell_angle_gamma 60.00
loop_
_space_group_symop_operation_xyz
'x,y,z'
loop_
_atom_site_label
_atom_site_fract_x
_atom_site_fract_y
_atom_site_fract_z
Al1 0.2500 0.2500 0.2500
Al2 0.7500 0.7500 0.7500
Dy1 0.5000 0.5000 0.5000
Er1 0.0000 0.0000 0.0000
```

A plane-wave DFT calculation with PBE was carried out for a relaxed DyAlFe2 crystal.

```
data_DyAlFe2
_space_group_name_H-M_alt 'P 1'
_space_group_IT_number 1
_cell_length_a 5.2724
_cell_length_b 5.2724
_cell_length_c 16.2038
_cell_angle_alpha 90.00
_cell_angle_beta 90.00
_cell_angle_gamma 119.99
loop_
_space_group_symop_operation_xyz
'x,y,z'
loop_
_atom_site_label
_atom_site_fract_x
_atom_site_fract_y
_atom_site_fract_z
Fe1 0.0001 0.9999 0.7382
Fe2 0.1656 0.8344 0.6250
Dy1 0.3333 0.6667 0.2600
Dy2 0.6667 0.3333 0.5334
Al1 0.8364 0.6728 0.1346
Dy3 0.3333 0.6667 0.4666
Fe3 0.1656 0.3311 0.6250
Al2 0.1636 0.3272 0.8654
Al3 0.3272 0.1636 0.1346
Fe4 0.9999 0.0001 0.2618
Dy4 0.6667 0.3333 0.9685
Fe5 0.6689 0.8344 0.6250
Dy5 0.6667 0.3333 0.7400
Fe6 0.3332 0.6668 0.7385
Fe7 0.8344 0.1656 0.3750
Fe8 0.8344 0.6689 0.3750
Al4 0.6728 0.8364 0.8654
Fe9 0.6668 0.3332 0.2615
Al5 0.1636 0.8364 0.8654
Fe10 0.3311 0.1656 0.3750
Fe11 0.0000 0.0000 0.5000
Fe12 0.0000 0.0000 0.0000
Dy6 0.3333 0.6667 0.0315
Al6 0.8364 0.1636 0.1346
```

A plane-wave DFT calculation with PBE was carried out for a relaxed DyAl6Fe6 crystal.

```
data_DyAl6Fe6
_space_group_name_H-M_alt 'P 1'
_space_group_IT_number 1
_cell_length_a 5.0121
_cell_length_b 6.5740
_cell_length_c 6.5740
_cell_angle_alpha 98.97
_cell_angle_beta 112.41
_cell_angle_gamma 67.59
loop_
_space_group_symop_operation_xyz
'x,y,z'
loop_
_atom_site_label
_atom_site_fract_x
_atom_site_fract_y
_atom_site_fract_z
Fe1 0.5000 0.2399 0.2399
Al1 0.6922 0.8078 0.1922
Fe2 0.0000 0.0000 0.5000
Al2 0.3464 0.6536 0.3464
Al3 0.6536 0.3464 0.6536
Al4 0.3078 0.1922 0.8078
Fe3 0.5000 0.7601 0.7601
Al5 0.0000 0.3368 0.3368
Al6 0.0000 0.6632 0.6632
Fe4 0.0000 0.5000 0.0000
Fe5 0.5000 0.5000 0.0000
Dy1 0.0000 0.0000 0.0000
Fe6 0.5000 0.0000 0.5000
```

no.,raw total energy (eV per atom)
1,-4.38
2,-3.93
3,-4.25
4,-4.39
5,-3.93
6,-4.38
7,-4.39
8,-4.55
9,-4.54
10,-4.56
11,-6.54
12,-6.38